# 1
{"formula": "Na6Y4In4Si3S9O48", "functional": "PBE", "state": "optimized geometry", "corrected_energy_ev_per_atom": -6.97, "dft_energy_ev_per_cell": -1447.8, "crystal_system": "triclinic", "space_group": "P1", "delta_e_f_ev_per_fu": -179.759, "cell": [[-11.582, 11.284, -8.381], [-0.539, -8.938, -1.475], [-15.091, -2.088, 18.064]], "species": ["O", "Si", "O", "S", "O", "O", "Na", "Na", "O", "O", "Si", "O", "Y", "O", "Y", "S", "O", "S", "Y", "In", "O", "O", "O", "Na", "Na", "O", "O", "O", "O", "In", "O", "O", "Na", "Na", "Na", "O", "O", "O", "Na", "S", "O", "O", "Na", "O", "S", "S", "O", "O", "O", "O", "O", "O", "O", "O", "Na", "O", "O", "O", "Na", "S", "O", "O", "O", "In", "Na", "Si", "O", "O", "S", "In", "S", "O", "Y", "O", "O", "O", "S", "O", "O", "O", "O", "O", "O", "O", "O", "O", "O", "Y", "O", "O", "Y", "O", "O", "O", "S", "O", "O", "O", "O", "Y", "O", "O", "O", "O", "O", "S", "O", "Si", "O", "Na", "O", "O", "O", "Si", "O", "O", "O", "O", "Na", "O", "S", "O", "O", "In", "Y", "O", "Si", "O", "O", "O", "O", "O", "O", "O", "O", "O", "Y", "O", "In", "O", "O", "O", "In", "O", "In", "O", "O", "In", "O", "O", "S", "O", "Y", "S", "S", "S", "O", "O", "Si", "O", "O", "O", "O", "Y", "S", "O", "O", "Na", "O", "O", "O", "O", "O", "O", "In", "Y", "O", "O", "O", "O", "O", "O", "O", "O", "O", "O", "Na", "S", "O", "Na", "O", "Na", "O", "In", "S", "O", "O", "S", "O", "Si", "O", "O", "O", "Si", "O", "In", "S", "O", "O", "O", "S", "O", "O", "S", "S", "S", "O", "S", "O", "O", "O", "O"], "frac_coords": [[0.916, 0.815, 0.591], [0.021, 0.373, 0.918], [0.277, 0.703, 0.971], [0.314, 0.960, 0.420], [0.109, 0.025, 0.307], [0.005, 0.798, 0.695], [0.996, 0.012, 0.996], [0.664, 0.647, 0.661], [0.350, 0.534, 0.241], [0.013, 0.184, 0.915], [0.650, 0.993, 0.252], [0.503, 0.802, 0.696], [0.842, 0.334, 0.982], [0.762, 0.650, 0.870], [0.329, 0.333, 0.680], [0.499, 0.706, 0.747], [0.486, 0.193, 0.297], [0.687, 0.034, 0.583], [0.823, 0.315, 0.185], [0.506, 0.999, 0.153], [0.738, 0.140, 0.925], [0.160, 0.454, 0.471], [0.511, 0.842, 0.413], [0.347, 0.357, 0.333], [0.994, 0.979, 0.502], [0.172, 0.854, 0.580], [0.079, 0.464, 0.250], [0.164, 0.497, 0.750], [0.926, 0.348, 0.922], [0.159, 0.647, 0.812], [0.490, 0.786, 0.799], [0.093, 0.210, 0.696], [0.829, 0.328, 0.336], [0.660, 0.010, 0.417], [0.162, 0.308, 0.910], [0.425, 0.350, 0.921], [0.811, 0.119, 0.424], [0.661, 0.868, 0.973], [0.494, 0.009, 0.998], [0.348, 0.992, 0.750], [0.384, 0.958, 0.699], [0.593, 0.182, 0.086], [0.175, 0.688, 0.168], [0.506, 0.215, 0.193], [0.837, 0.644, 0.586], [0.000, 0.297, 0.247], [0.346, 0.130, 0.034], [0.238, 0.335, 0.423], [0.925, 0.498, 0.420], [0.432, 0.323, 0.534], [0.410, 0.008, 0.091], [0.087, 0.966, 0.913], [0.321, 0.107, 0.136], [0.424, 0.503, 0.420], [0.661, 0.678, 0.174], [0.440, 0.526, 0.137], [0.059, 0.648, 0.355], [0.158, 0.830, 0.250], [0.663, 0.310, 0.911], [0.166, 0.371, 0.420], [0.910, 0.003, 0.089], [0.852, 0.544, 0.242], [0.825, 0.538, 0.637], [0.659, 0.670, 0.315], [0.330, 0.331, 0.826], [0.519, 0.369, 0.916], [0.401, 0.995, 0.414], [0.084, 0.959, 0.196], [0.334, 0.026, 0.085], [0.006, 0.012, 0.652], [0.680, 0.334, 0.081], [0.581, 0.456, 0.972], [0.501, 0.995, 0.350], [0.986, 0.778, 0.798], [0.761, 0.875, 0.366], [0.683, 0.483, 0.363], [0.853, 0.006, 0.745], [0.886, 0.813, 0.196], [0.685, 0.869, 0.580], [0.069, 0.483, 0.583], [0.762, 0.665, 0.579], [0.987, 0.194, 0.297], [0.426, 0.530, 0.745], [0.013, 0.842, 0.415], [0.777, 0.701, 0.973], [0.608, 0.014, 0.309], [0.263, 0.874, 0.369], [0.504, 0.009, 0.849], [0.748, 0.317, 0.745], [0.740, 0.342, 0.419], [0.167, 0.670, 0.315], [0.934, 0.551, 0.036], [0.445, 0.347, 0.647], [0.724, 0.136, 0.531], [0.352, 0.700, 0.245], [0.587, 0.971, 0.917], [0.617, 0.201, 0.813], [0.600, 0.008, 0.588], [0.904, 0.790, 0.298], [0.339, 0.331, 0.981], [0.733, 0.350, 0.131], [0.080, 0.697, 0.751], [0.400, 0.808, 0.913], [0.244, 0.175, 0.243], [0.851, 0.167, 0.741], [0.810, 0.951, 0.419], [0.902, 0.022, 0.797], [0.654, 0.298, 0.751], [0.261, 0.850, 0.758], [0.506, 0.357, 0.738], [0.664, 0.463, 0.467], [0.947, 0.543, 0.138], [0.991, 0.811, 0.086], [0.518, 0.667, 0.416], [0.680, 0.886, 0.870], [0.772, 0.847, 0.470], [0.276, 0.855, 0.471], [0.311, 0.502, 0.925], [0.006, 0.658, 0.253], [0.901, 0.811, 0.915], [0.184, 0.336, 0.083], [0.080, 0.450, 0.975], [0.563, 0.474, 0.859], [0.003, 0.000, 0.151], [0.839, 0.349, 0.483], [0.315, 0.532, 0.633], [0.488, 0.330, 0.588], [0.260, 0.649, 0.869], [0.407, 0.807, 0.589], [0.265, 0.671, 0.249], [0.064, 0.491, 0.863], [0.246, 0.318, 0.747], [0.585, 0.198, 0.701], [0.928, 0.333, 0.243], [0.426, 0.328, 0.242], [0.181, 0.879, 0.867], [0.346, 0.348, 0.485], [0.756, 0.849, 0.078], [0.330, 0.325, 0.184], [0.675, 0.493, 0.080], [0.719, 0.314, 0.029], [0.347, 0.156, 0.746], [0.162, 0.664, 0.518], [0.073, 0.664, 0.081], [0.652, 0.652, 0.520], [0.766, 0.860, 0.751], [0.111, 0.205, 0.811], [0.503, 0.014, 0.649], [0.311, 0.122, 0.423], [0.926, 0.524, 0.743], [0.666, 0.961, 0.920], [0.390, 0.807, 0.194], [0.002, 0.010, 0.848], [0.982, 0.331, 0.586], [0.166, 0.955, 0.917], [0.850, 0.707, 0.248], [0.569, 0.655, 0.083], [0.932, 0.315, 0.534], [0.152, 0.005, 0.249], [0.222, 0.315, 0.031], [0.253, 0.662, 0.578], [0.091, 0.003, 0.585], [0.178, 0.472, 0.368], [0.665, 0.663, 0.813], [0.482, 0.633, 0.086], [0.583, 0.499, 0.586], [0.401, 0.014, 0.801], [0.842, 0.336, 0.824], [0.898, 0.987, 0.414], [0.891, 0.974, 0.695], [0.005, 0.213, 0.194], [0.488, 0.802, 0.089], [0.238, 0.135, 0.921], [0.595, 0.973, 0.194], [0.661, 0.659, 0.017], [0.003, 0.999, 0.352], [0.083, 0.701, 0.469], [0.578, 0.695, 0.749], [0.850, 0.563, 0.535], [0.178, 0.495, 0.082], [0.492, 0.154, 0.585], [0.401, 0.783, 0.296], [0.659, 0.485, 0.751], [0.664, 0.828, 0.251], [0.097, 0.185, 0.088], [0.813, 0.504, 0.926], [0.163, 0.018, 0.418], [0.986, 0.641, 0.086], [0.585, 0.718, 0.469], [0.493, 0.000, 0.506], [0.086, 0.203, 0.416], [0.165, 0.645, 0.671], [0.744, 0.168, 0.248], [0.164, 0.660, 0.017], [0.329, 0.640, 0.583], [0.160, 0.864, 0.971], [0.589, 0.212, 0.411], [0.833, 0.020, 0.083], [0.216, 0.120, 0.528], [0.019, 0.666, 0.415], [0.256, 0.854, 0.079], [0.512, 0.180, 0.916], [0.740, 0.125, 0.633], [0.153, 0.305, 0.751], [0.432, 0.551, 0.034], [0.830, 0.336, 0.684], [0.178, 0.024, 0.580], [0.940, 0.354, 0.637], [0.237, 0.353, 0.133], [0.763, 0.672, 0.255], [0.000, 0.701, 0.747], [0.230, 0.114, 0.630], [0.846, 0.126, 0.033], [0.668, 0.379, 0.415], [0.312, 0.669, 0.919], [0.500, 0.299, 0.246], [0.988, 0.173, 0.589], [0.814, 0.670, 0.921], [0.580, 0.463, 0.250], [0.338, 0.558, 0.531], [0.557, 0.631, 0.359], [0.822, 0.102, 0.134]]}



# 2
{"formula": "Na8Zn2In2Si3S3O24", "functional": "PBE", "state": "optimized geometry", "corrected_energy_ev_per_atom": -6.21, "dft_energy_ev_per_cell": -732.9, "crystal_system": "triclinic", "space_group": "P1", "delta_e_f_ev_per_fu": -94.735, "cell": [[-6.905, -6.067, -1.335], [4.003, 0.788, 8.332], [-15.122, 15.482, 5.443]], "species": ["O", "Si", "Na", "O", "Si", "Na", "O", "O", "Si", "Na", "O", "O", "O", "O", "Na", "O", "O", "O", "Si", "O", "Na", "O", "Na", "O", "In", "O", "O", "Na", "O", "O", "O", "O", "O", "O", "Na", "S", "Si", "O", "O", "In", "O", "S", "Na", "S", "Si", "O", "O", "Zn", "O", "S", "O", "Zn", "Na", "Na", "Na", "S", "In", "O", "Na", "O", "Na", "Si", "O", "O", "O", "In", "S", "O", "O", "O", "O", "O", "O", "Zn", "O", "Na", "Si", "O", "O", "Na", "O", "O", "O", "Na", "In", "S", "O", "O", "O", "O", "O", "Na", "Na", "Si", "Zn", "O", "O", "O", "O", "O", "Zn", "Na", "O", "O", "O", "O", "O", "S", "O", "O", "In", "Zn", "O", "O", "Na", "Na", "O", "O", "O", "O", "O", "S", "O", "Na", "O", "Na"], "frac_coords": [[0.693, 0.172, 0.748], [0.978, 0.341, 0.582], [0.975, 0.999, 0.502], [0.309, 0.485, 0.756], [0.003, 0.302, 0.251], [0.010, 0.986, 0.995], [0.690, 0.128, 0.028], [0.536, 0.668, 0.977], [0.634, 0.965, 0.418], [0.323, 0.277, 0.904], [0.529, 0.678, 0.254], [0.885, 0.365, 0.641], [0.194, 0.961, 0.188], [0.645, 0.152, 0.421], [0.032, 0.347, 0.096], [0.127, 0.676, 0.469], [0.135, 0.449, 0.976], [0.468, 0.117, 0.637], [0.333, 0.972, 0.921], [0.144, 0.645, 0.083], [0.335, 0.028, 0.407], [0.507, 0.839, 0.752], [0.671, 0.959, 0.580], [0.850, 0.553, 0.022], [0.011, 0.000, 0.156], [0.823, 0.018, 0.087], [0.987, 0.788, 0.810], [0.639, 0.020, 0.262], [0.311, 0.872, 0.983], [0.207, 0.025, 0.308], [0.331, 0.840, 0.252], [0.807, 0.013, 0.813], [0.864, 0.297, 0.521], [0.689, 0.546, 0.520], [0.979, 0.693, 0.916], [0.363, 0.336, 0.083], [0.701, 0.000, 0.752], [0.644, 0.510, 0.640], [0.352, 0.490, 0.079], [0.676, 0.329, 0.490], [0.347, 0.865, 0.579], [0.335, 0.368, 0.416], [0.003, 0.629, 0.242], [0.667, 0.028, 0.083], [0.307, 0.304, 0.751], [0.368, 0.882, 0.863], [0.104, 0.640, 0.360], [0.300, 0.677, 0.014], [0.772, 0.799, 0.193], [0.037, 0.368, 0.921], [0.185, 0.197, 0.414], [0.002, 0.015, 0.344], [0.992, 0.351, 0.733], [0.022, 0.679, 0.585], [0.354, 0.346, 0.253], [0.000, 0.705, 0.754], [0.994, 0.009, 0.650], [0.861, 0.510, 0.142], [0.286, 0.946, 0.084], [0.352, 0.463, 0.360], [0.667, 0.311, 0.331], [0.958, 0.629, 0.085], [0.017, 0.819, 0.413], [0.190, 0.215, 0.693], [0.161, 0.514, 0.576], [0.342, 0.677, 0.816], [0.364, 0.032, 0.584], [0.681, 0.532, 0.245], [0.792, 0.814, 0.920], [0.436, 0.133, 0.528], [0.026, 0.807, 0.700], [0.850, 0.814, 0.586], [0.847, 0.539, 0.751], [0.011, 0.020, 0.832], [0.229, 0.190, 0.811], [0.310, 0.667, 0.169], [0.304, 0.003, 0.250], [0.778, 0.954, 0.693], [0.441, 0.311, 0.027], [0.648, 0.320, 0.822], [0.821, 0.983, 0.414], [0.855, 0.515, 0.417], [0.641, 0.109, 0.136], [0.306, 0.352, 0.594], [0.666, 0.332, 0.986], [0.699, 0.700, 0.250], [0.012, 0.200, 0.917], [0.166, 0.988, 0.915], [0.509, 0.162, 0.922], [0.489, 0.353, 0.418], [0.488, 0.177, 0.245], [0.392, 0.026, 0.750], [0.671, 0.694, 0.080], [0.673, 0.631, 0.584], [0.676, 0.338, 0.680], [0.522, 0.856, 0.079], [0.149, 0.682, 0.756], [0.539, 0.846, 0.476], [0.496, 0.333, 0.745], [0.190, 0.185, 0.083], [0.682, 0.327, 0.189], [0.627, 0.629, 0.730], [0.967, 0.183, 0.309], [0.180, 0.486, 0.254], [0.317, 0.454, 0.469], [0.804, 0.786, 0.302], [0.869, 0.358, 0.923], [0.625, 0.661, 0.922], [0.121, 0.471, 0.867], [0.526, 0.640, 0.867], [0.333, 0.675, 0.317], [0.357, 0.665, 0.522], [0.194, 0.010, 0.589], [0.524, 0.887, 0.356], [0.702, 0.686, 0.431], [0.687, 0.025, 0.899], [0.007, 0.179, 0.584], [0.646, 0.510, 0.921], [0.844, 0.333, 0.249], [0.460, 0.348, 0.137], [0.028, 0.219, 0.188], [0.028, 0.665, 0.416], [0.977, 0.819, 0.087], [0.343, 0.658, 0.663], [0.513, 0.662, 0.584], [0.954, 0.277, 0.418]]}